This record from the Materials Project database describes a relaxed structure of BaAl4Sb2O12. The functional is GGA-PBE.

Values from the calculation:
Formation enthalpy at 0 K = -2.9351 eV/atom
Mass density = 5.092 Mg/m³

abc: 8.349 8.349 8.349
angles: 106.44 106.44 115.72
Fractional coordinates of all 38 atoms:
1 O 0.174 0.532 0.047
2 O 0.485 0.127 0.953
3 O 0.158 0.788 0.294
4 O 0.212 0.506 0.370
5 O 0.532 0.485 0.358
6 O 0.788 0.494 0.630
7 O 0.850 0.201 0.051
8 O 0.161 0.548 0.709
9 O 0.799 0.850 0.649
10 O 0.515 0.873 0.047
11 O 0.864 0.158 0.370
12 O 0.468 0.515 0.642
13 O 0.839 0.452 0.291
14 O 0.826 0.468 0.953
15 O 0.873 0.826 0.358
16 O 0.548 0.839 0.387
17 O 0.452 0.161 0.613
18 O 0.506 0.136 0.294
19 O 0.136 0.842 0.630
20 O 0.842 0.212 0.706
21 O 0.494 0.864 0.706
22 O 0.201 0.150 0.351
23 O 0.127 0.174 0.642
24 O 0.150 0.799 0.949
25 Sb 0.165 0.351 0.515
26 Sb 0.835 0.649 0.485
27 Sb 0.351 0.835 0.186
28 Sb 0.649 0.165 0.814
29 Ba 0.784 0.784 0.000
30 Ba 0.216 0.216 0.000
31 Al 0.316 0.831 0.815
32 Al 0.984 0.499 0.815
33 Al 0.501 0.316 0.485
34 Al 0.499 0.684 0.515
35 Al 0.169 0.984 0.485
36 Al 0.831 0.016 0.515
37 Al 0.684 0.169 0.185
38 Al 0.016 0.501 0.185